i.
Computed, not measured: a geometry-optimized Li4Co5SnO12 structure at the PBE+U level of DFT.

abc: 5.0111 8.8315 10.8157
angles: 114.08 95.02 90.01
Space group P-1 (No. 2)
Symmetry-distinct sites (fractional):
Li1 0.2060 0.2881 0.2436
Li2 0.2057 0.9551 0.2437
Li3 0.2897 0.5434 0.7535
Li4 0.2912 0.2094 0.7535
Co1 0.0000 0.0000 0.0000
Co2 0.0001 0.3390 0.0000
Co3 0.2494 0.0830 0.4995
Co4 0.2496 0.4165 0.4995
Co5 0.5002 0.1642 0.9999
Co6 0.5000 0.5000 0.0000
Sn1 0.2508 0.7502 0.5003
O1 0.0528 0.5186 0.3927
O2 0.0530 0.8742 0.3927
O3 0.0864 0.1959 0.3916
O4 0.1433 0.1334 0.8950
O5 0.1430 0.7623 0.8950
O6 0.1535 0.4499 0.9002
O7 0.3349 0.0547 0.1090
O8 0.3384 0.3874 0.1028
O9 0.3381 0.7150 0.1030
O10 0.4114 0.3037 0.6075
O11 0.4467 0.6252 0.6080
O12 0.4469 0.9827 0.6080

Values from the calculation:
volume = 9.886 A^3/atom
M_tot = 5.04 μB per formula unit



ii.
Computed, not measured: a geometry-optimized Li4Co5SnO12 structure at the PBE+U level of DFT.

abc: 5.1308 8.6591 10.8041
angles: 113.44 94.36 90.16
Space group P1 (No. 1)
Symmetry-distinct sites (fractional):
Li1 0.0000 0.0000 0.0000
Li2 0.0048 0.3446 0.9987
Li3 0.0844 0.2649 0.5107
Li4 0.0957 0.5977 0.5150
Li5 0.5003 0.8401 0.0011
Li6 0.5108 0.5044 0.0002
Li7 0.5810 0.7514 0.5159
Li8 0.5904 0.0968 0.5123
Co1 0.0475 0.1336 0.2557
Co2 0.0470 0.4660 0.2567
Co3 0.2947 0.2174 0.7565
Co4 0.2945 0.8825 0.7598
Co5 0.2978 0.5498 0.7551
Co6 0.5471 0.6382 0.2574
Co7 0.5479 0.9696 0.2562
Co8 0.7888 0.7144 0.7533
Co9 0.7960 0.0545 0.7574
Co10 0.7970 0.3850 0.7550
Sn1 0.0475 0.8013 0.2568
Sn2 0.5473 0.3025 0.2557
O1 0.1241 0.1083 0.8561
O2 0.1439 0.4282 0.8524
O3 0.1737 0.7727 0.8631
O4 0.2084 0.3526 0.3634
O5 0.2256 0.6782 0.3695
O6 0.2452 0.0328 0.3638
O7 0.3497 0.0710 0.1489
O8 0.3721 0.4257 0.1430
O9 0.3869 0.7504 0.1482
O10 0.4303 0.6593 0.6465
O11 0.4486 0.3308 0.6587
O12 0.4603 0.0057 0.6611
O13 0.6405 0.5966 0.8537
O14 0.6728 0.9354 0.8613
O15 0.6760 0.2769 0.8609
O16 0.7087 0.8580 0.3639
O17 0.7253 0.5377 0.3691
O18 0.7453 0.1779 0.3629
O19 0.8495 0.9252 0.1490
O20 0.8717 0.5662 0.1440
O21 0.8866 0.2451 0.1480
O22 0.9159 0.1716 0.6500
O23 0.9187 0.8355 0.6544
O24 0.9549 0.4979 0.6566

Values from the calculation:
volume = 9.973 A^3/atom
M_tot = 1.00 μB per formula unit



Which of them is least stable? Easy: i.



i.
Computed, not measured: a geometry-optimized LiCr2O4 structure at the PBE+U level of DFT.

abc: 5.0769 2.9558 10.4656
angles: 90.00 108.83 90.00
Space group P2/c (No. 13)
Symmetry-distinct sites (fractional):
Li1 0.0000 0.0027 0.2500
Cr1 0.0000 0.5000 0.0000
Cr2 0.5000 0.0000 0.0000
O1 0.2208 0.0152 0.1021
O2 0.2484 0.5001 0.3943

Values from the calculation:
volume = 10.617 A^3/atom
M_tot = 5.00 μB per formula unit



ii.
Computed, not measured: a geometry-optimized LiCr2O4 structure at the PBE+U level of DFT.

abc: 5.9186 5.9748 8.3204
angles: 89.64 89.72 89.87
Space group P1 (No. 1)
Symmetry-distinct sites (fractional):
Li1 0.0000 0.0000 0.0000
Li2 0.0013 0.5020 0.2485
Li3 0.5021 0.5037 0.5023
Li4 0.5059 0.9984 0.7487
Cr1 0.0018 0.2528 0.6242
Cr2 0.0046 0.7484 0.6237
Cr3 0.2521 0.0021 0.3751
Cr4 0.2522 0.4986 0.8743
Cr5 0.4991 0.2560 0.1230
Cr6 0.5054 0.7524 0.1250
Cr7 0.7537 0.0038 0.3752
Cr8 0.7551 0.5012 0.8741
O1 0.0074 0.7837 0.3794
O2 0.2270 0.4990 0.6362
O3 0.2320 0.0039 0.6036
O4 0.2777 0.0039 0.1426
O5 0.2865 0.4942 0.1203
O6 0.4995 0.2266 0.3594
O7 0.5083 0.7875 0.3670
O8 0.5104 0.2682 0.8936
O9 0.5111 0.7170 0.8847
O10 0.7242 0.0127 0.1414
O11 0.7294 0.4974 0.1088
O12 0.7735 0.5033 0.6427
O13 0.7740 0.9981 0.6024
O14 0.9944 0.2802 0.8662
O15 0.9989 0.2193 0.3801
O16 0.9994 0.7237 0.8643

Values from the calculation:
volume = 10.508 A^3/atom
M_tot = 0.07 μB per formula unit



Which of them is least stable? Easy: ii.